[1]
## P2W (PBE-GGA)

Data for crystalline P2W at its relaxed geometry.

a b c (Å): 3.1813 5.0074 5.8394
angles (deg): 90.00 105.81 90.00
With the nearest neighbours (Å) after each atom.
Fractional positions:
P 0.5696 0.8833 0.1393  1 P 2.17
W 0.9063 0.0003 0.8125  7 P 2.50-2.51
P 0.4304 0.3833 0.8607  1 P 2.17
P 0.2982 0.6994 0.5965  1 P 2.17
P 0.7018 0.1994 0.4035  1 P 2.17
W 0.0937 0.5003 0.1875  7 P 2.50-2.51

## Properties
The excess energy over the best structure of this formula in the dataset comes out at 0 meV/atom. The calculation puts the final energy at -49.84 eV for the cell shown. Its space group is Cmc2_1, No. 36. The calculation puts the formation enthalpy at 0 K at -0.3785 eV per atom.

[2]
## Cs3TlF6 (PBE-GGA)

Data for crystalline Cs3TlF6 at its relaxed geometry.

a b c (Å): 7.1968 7.1968 7.1968
angles (deg): 120.89 120.89 88.46
With the nearest neighbours (Å) after each atom.
Fractional positions:
Cs 0.5000 0.5000 0.0000  2 F 2.86
F 0.6941 0.0000 0.6941  1 Tl 2.17
Tl 0.0000 0.0000 0.0000  6 F 2.17-2.30
Cs 0.2500 0.7500 0.5000  4 F 2.92
F 0.0000 0.6941 0.6941  1 Tl 2.17
F 0.2230 0.2230 0.0000  1 Tl 2.30
F 0.0000 0.3059 0.3059  1 Tl 2.17
Cs 0.7500 0.2500 0.5000  4 F 2.92
F 0.3059 0.0000 0.3059  1 Tl 2.17
F 0.7770 0.7770 0.0000  1 Tl 2.30

## Properties
The calculation puts the final energy at -40.20 eV for the cell shown. Its space group is I4/mmm, No. 139. The calculation puts the formation enthalpy at 0 K at -2.6431 eV per atom.

[3]
## HfCuP (PBE-GGA)

Data for crystalline HfCuP at its relaxed geometry.

a b c (Å): 3.5872 3.5872 5.5801
angles (deg): 90.00 90.00 120.00
With the nearest neighbours (Å) after each atom.
Fractional positions:
P 0.3333 0.6667 0.2347  1 Cu 2.25, 3 Hf 2.50
Cu 0.3333 0.6667 0.6380  1 P 2.25
Hf 0.0000 0.0000 0.9843  3 P 2.50

## Properties
The calculation puts the final energy at -19.66 eV for the cell shown. Its space group is P3m1, No. 156. The calculation puts the formation enthalpy at 0 K at -0.0646 eV per atom.